30
Lattice="4.874 -2.772 0.000 4.874 2.772 0.000 0.000 0.000 10.917" Properties=species:S:1:pos:R:3 comment="Li8FeO6 (PBE+U, relaxed)" relative_energy_mev_per_atom=0.0 energy_ev_per_atom=-5.1057 pbc="T T T"
Li 2.973 1.079 10.916
Li 4.874 2.143 5.458
Li 1.624 0.017 2.386
Li 1.624 -0.017 7.845
Li 4.874 1.721 9.386
Li 3.360 0.826 3.910
Li 3.360 -0.826 9.368
Li 2.973 -1.079 5.457
Li 6.775 1.079 10.916
Li 6.388 0.826 3.910
Li 6.388 -0.826 9.368
Li 4.874 -1.721 3.927
Li 8.124 0.017 2.386
Li 8.124 -0.017 7.845
Li 4.874 -2.143 0.000
Li 6.775 -1.079 5.457
Fe 4.874 0.017 1.457
Fe 4.874 -0.017 6.915
O 1.618 0.005 9.946
O 1.618 -0.005 4.488
O 4.874 1.741 7.425
O 3.304 0.837 1.936
O 3.304 -0.837 7.394
O 4.874 0.021 10.453
O 4.874 -0.021 4.995
O 6.445 0.837 1.936
O 6.445 -0.837 7.394
O 4.874 -1.741 1.966
O 8.131 0.005 9.946
O 8.131 -0.005 4.488

=====

4
Lattice="1.442 0.832 4.770 -1.442 0.832 4.770 0.000 -1.665 4.770" Properties=species:S:1:pos:R:3 comment="LiFeO2 (PBE+U, relaxed)" energy_ev_per_atom=-6.0313 pbc="T T T"
Li 0.000 0.000 0.000
Fe 0.000 0.000 7.155
O 0.000 0.000 3.441
O 0.000 0.000 10.870

=====

40
Lattice="5.027 0.000 0.000 -2.062 4.634 0.000 -0.844 -1.668 18.433" Properties=species:S:1:pos:R:3 comment="Li3Fe5O12 (PBE+U, relaxed)" relative_energy_mev_per_atom=0.0 energy_ev_per_atom=-5.8513 pbc="T T T"
Li 0.000 0.000 0.000
Li -2.397 3.743 9.210
Li -0.656 0.908 11.720
Li 0.422 3.363 0.333
Li 0.043 2.581 9.538
Li 1.903 0.485 2.618
Fe -0.759 3.552 5.002
Fe -1.166 2.784 14.206
Fe 0.686 0.859 7.341
Fe 0.245 0.078 16.543
Fe 2.537 0.874 9.551
Fe 2.966 1.772 0.325
Fe 1.854 2.643 11.812
Fe 2.278 3.498 2.582
Fe 3.351 -0.200 14.215
Fe 3.799 0.634 5.006
O -0.179 -0.529 6.226
O -0.589 -1.344 15.448
O -1.719 2.315 10.577
O -1.350 3.280 1.340
O -1.323 0.108 17.786
O -0.848 0.915 8.521
O -0.201 -0.658 12.936
O 0.297 0.109 3.708
O -0.698 1.170 15.233
O -0.233 1.979 6.009
O 1.500 -0.373 8.587
O 1.053 -1.144 17.772
O 1.043 1.324 10.867
O 1.514 2.114 1.636
O 2.131 0.337 5.979
O 1.721 -0.410 15.165
O 0.854 3.883 3.872
O 0.466 2.974 13.152
O 1.191 1.316 17.544
O 1.653 2.110 8.331
O 3.497 0.251 1.375
O 3.309 -0.508 10.597
O 3.282 2.203 4.011
O 2.980 1.415 13.150

=====

25
Lattice="10.142 0.000 0.000 0.000 2.969 0.000 -0.013 0.000 10.228" Properties=species:S:1:pos:R:3 comment="LiFe8O16 (PBE+U, relaxed)" relative_energy_mev_per_atom=0.0 energy_ev_per_atom=-6.1376 pbc="T T T"
Li 0.000 0.000 0.000
Fe 1.047 0.000 4.746
Fe 1.263 1.485 7.960
Fe 2.904 0.000 10.056
Fe 3.079 1.485 3.055
Fe 6.130 1.485 9.892
Fe 6.295 0.000 2.874
Fe 7.974 1.485 4.922
Fe 8.141 0.000 8.136
O 1.085 1.485 3.471
O 1.174 1.485 6.013
O 1.449 1.485 10.019
O 2.501 0.000 8.060
O 2.934 0.000 1.799
O 3.043 0.000 4.311
O 4.147 1.485 9.923
O 5.041 1.485 3.001
O 6.218 0.000 8.625
O 6.302 0.000 0.918
O 6.722 0.000 4.870
O 7.563 1.485 2.921
O 8.019 1.485 6.882
O 8.244 1.485 9.469
O 9.228 0.000 4.781
O 10.118 0.000 8.167